! BaReH9, relaxed, DFT PBE-GGA; values from VASP
! **ΔE_f**: -41 kJ per mole of atoms
! **Space-group type**: P6_3/mmc (194)
! **Energy**: -95.83 eV for the cell shown
! **Relative energy among the computed polymorphs**: 0.00 kcal/mol of atoms
&SYSTEM
  ibrav = 0, nat = 22, ntyp = 3
/
ATOMIC_SPECIES
Ba 137.33 Ba.upf
Re 186.21 Re.upf
H 1.01 H.upf
CELL_PARAMETERS angstrom
5.2541 0.0000 0.0000
-2.6271 4.5502 0.0000
0.0000 0.0000 9.6853
ATOMIC_POSITIONS angstrom
Ba 0.0000 0.0000 0.0000
Ba 0.0000 0.0000 4.8427
Re 0.0000 3.0335 2.4213
Re 2.6271 1.5167 7.2640
H -1.0521 2.4261 1.2144
H -1.0521 2.4261 3.6283
H 0.0000 1.3581 2.4213
H -1.4509 3.8711 2.4213
H 1.1762 0.6791 7.2640
H 1.0521 2.4261 1.2144
H 1.0521 2.4261 3.6283
H 0.0000 4.2483 1.2144
H 0.0000 4.2483 3.6283
H 2.6271 0.3019 6.0570
H 2.6271 0.3019 8.4709
H 1.5750 2.1241 6.0570
H 1.5750 2.1241 8.4709
H 1.4509 3.8711 2.4213
H 4.0780 0.6791 7.2640
H 2.6271 3.1921 7.2640
H 3.6791 2.1241 6.0570
H 3.6791 2.1241 8.4709

! Nb2ZnO6, relaxed, DFT PBE-GGA; values from VASP
! **ΔE_f**: -267 kJ per mole of atoms
! **Space-group type**: Pbcn (60)
! **Energy**: -287.64 eV for the cell shown
&SYSTEM
  ibrav = 0, nat = 36, ntyp = 3
/
ATOMIC_SPECIES
Nb 92.91 Nb.upf
Zn 65.41 Zn.upf
O 16.00 O.upf
CELL_PARAMETERS angstrom
14.4122 0.0000 0.0000
0.0000 5.8506 0.0000
0.0000 0.0000 5.0906
ATOMIC_POSITIONS angstrom
Nb 2.3082 1.0703 1.2551
Nb 2.3082 4.7803 3.8003
Nb 4.8979 1.8550 3.8003
Nb 4.8979 3.9955 1.2551
Nb 9.5143 1.8550 3.8355
Nb 9.5143 3.9955 1.2902
Nb 12.1039 1.0703 1.2902
Nb 12.1039 4.7803 3.8355
Zn 0.0000 1.9245 3.8179
Zn 0.0000 3.9260 1.2726
Zn 7.2061 1.0008 1.2726
Zn 7.2061 4.8498 3.8179
O 1.1402 2.2317 0.4426
O 1.1402 3.6188 2.9879
O 1.3882 0.6156 2.9092
O 1.3882 5.2349 0.3639
O 3.5282 0.7307 4.6732
O 3.5282 5.1199 2.1279
O 3.6779 2.1946 2.1279
O 3.6779 3.6560 4.6732
O 5.8179 2.3096 0.3639
O 5.8179 3.5409 2.9092
O 6.0659 0.6935 2.9879
O 6.0659 5.1570 0.4426
O 8.3463 0.6935 4.6480
O 8.3463 5.1570 2.1027
O 8.5943 2.3096 2.1814
O 8.5943 3.5409 4.7267
O 10.7343 2.1946 0.4174
O 10.7343 3.6560 2.9627
O 10.8840 0.7307 2.9627
O 10.8840 5.1199 0.4174
O 13.0240 0.6156 4.7267
O 13.0240 5.2349 2.1814
O 13.2720 2.2317 2.1027
O 13.2720 3.6188 4.6480

! FeCoSn2, relaxed, DFT PBE-GGA; values from VASP
! **ΔE_f**: -3 kJ per mole of atoms
! **Space-group type**: P2/m (10)
! **Energy**: -71.15 eV for the cell shown
! **M_tot**: 1.6 μB per formula unit
&SYSTEM
  ibrav = 0, nat = 12, ntyp = 3
/
ATOMIC_SPECIES
Fe 55.84 Fe.upf
Co 58.93 Co.upf
Sn 118.71 Sn.upf
CELL_PARAMETERS angstrom
5.1683 0.0000 0.0000
0.0000 4.3337 0.0000
-0.0725 0.0000 9.3912
ATOMIC_POSITIONS angstrom
Fe 0.0000 0.0000 0.0000
Fe -0.0363 0.0000 4.6956
Fe 2.5842 0.0000 0.0000
Co 1.2186 0.0000 7.0394
Co 2.5479 0.0000 4.6956
Co 3.8772 0.0000 2.3518
Sn 1.2210 2.1669 8.5666
Sn 1.2553 2.1669 5.5110
Sn 1.2916 0.0000 2.3528
Sn 3.8042 0.0000 7.0383
Sn 3.8405 2.1669 3.8802
Sn 3.8748 2.1669 0.8245

! K3Ag2P5O20, relaxed, DFT PBE-GGA; values from VASP
! **ΔE_f**: -160 kJ per mole of atoms
! **Space-group type**: P-1 (2)
! **Energy**: -363.29 eV for the cell shown
! **Relative energy among the computed polymorphs**: 0.00 kcal/mol of atoms
! **M_tot**: 6.0 μB per formula unit
&SYSTEM
  ibrav = 0, nat = 60, ntyp = 4
/
ATOMIC_SPECIES
K 39.10 K.upf
Ag 107.87 Ag.upf
P 30.97 P.upf
O 16.00 O.upf
CELL_PARAMETERS angstrom
7.3547 0.0000 0.0000
2.6606 10.1815 0.0000
0.5930 2.8607 13.6695
ATOMIC_POSITIONS angstrom
K 0.9551 0.7760 1.4229
K 2.2966 4.4995 3.4116
K 4.0968 9.7004 7.0915
K 6.5114 3.3417 6.5780
K 8.3116 8.5427 10.2579
K 9.6532 12.2662 12.2466
Ag 3.2676 7.4018 12.9246
Ag 3.1021 4.0648 11.5763
Ag 7.5061 8.9774 2.0932
Ag 7.3406 5.6404 0.7449
P 3.1801 7.1363 1.3200
P 4.6335 9.7390 10.6789
P 4.0395 7.0826 9.7084
P 4.5441 8.1135 3.7476
P 5.9330 10.9163 13.0686
P 4.6752 2.1259 0.6009
P 6.0642 4.9286 9.9220
P 6.5687 5.9596 3.9611
P 5.9747 3.3032 2.9906
P 7.4282 5.9059 12.3495
O 2.3976 8.3938 1.0867
O 3.3086 9.7224 11.4017
O 2.5456 5.7787 1.1069
O 3.2742 7.6803 8.5735
O 3.6831 8.7093 4.7969
O 2.8416 5.2969 6.3019
O 2.4117 3.3765 9.7823
O 3.2508 6.4776 10.8557
O 2.2887 2.0323 5.5388
O 3.6811 7.0392 2.8531
O 3.0650 4.3380 7.0430
O 5.2002 12.2066 12.8417
O 4.8312 10.5941 9.4730
O 2.7533 1.5571 4.4855
O 3.2267 2.1272 0.1655
O 4.5528 7.1253 0.4746
O 5.2927 9.0096 2.7889
O 5.0825 8.1958 10.3085
O 5.8734 9.9812 11.7393
O 5.0863 5.9923 9.1525
O 5.5219 7.0498 4.5170
O 4.7348 3.0610 1.9302
O 5.5257 4.8464 3.3610
O 5.3155 4.0326 10.8806
O 6.0554 5.9169 13.1949
O 7.3815 10.9149 13.5041
O 7.8549 11.4850 9.1840
O 5.7770 2.4480 4.1965
O 5.4080 0.8356 0.8279
O 7.5432 8.7042 6.6265
O 6.9271 6.0030 10.8164
O 8.3196 11.0099 8.1308
O 7.3574 6.5646 2.8139
O 8.1965 9.6657 3.8873
O 7.7666 7.7453 7.3676
O 6.9251 4.3329 8.8726
O 7.3340 5.3618 5.0961
O 8.0627 7.2635 12.5626
O 7.2996 3.3198 2.2678
O 8.2107 4.6484 12.5829

! Be12Pt, relaxed, DFT PBE-GGA; values from VASP
! **ΔE_f**: -9 kJ per mole of atoms
! **Space-group type**: I4/mmm (139)
! **Energy**: -52.17 eV for the cell shown
! **M_tot**: 0.0 μB per formula unit
&SYSTEM
  ibrav = 0, nat = 13, ntyp = 2
/
ATOMIC_SPECIES
Be 9.01 Be.upf
Pt 195.08 Pt.upf
CELL_PARAMETERS angstrom
-3.6272 3.6272 2.0855
3.6272 -3.6272 2.0855
3.6272 3.6272 -2.0855
ATOMIC_POSITIONS angstrom
Be 1.8136 1.8136 -1.0427
Be 1.6309 0.0000 0.0000
Be 1.8136 -1.8136 1.0427
Be 5.6236 0.0000 0.0000
Be 3.6272 1.1005 0.0000
Be 0.0000 1.6309 0.0000
Be -1.8136 1.8136 1.0427
Be 1.1005 3.6272 0.0000
Be 1.8136 1.8136 1.0427
Be 2.5267 0.0000 2.0855
Be 0.0000 5.6236 0.0000
Be 0.0000 2.5267 2.0855
Pt 0.0000 0.0000 2.0855

! Y6Zn23, relaxed, DFT PBE-GGA; values from VASP
! **ΔE_f**: -31 kJ per mole of atoms
! **Space-group type**: Fm-3m (225)
! **Energy**: -77.21 eV for the cell shown
&SYSTEM
  ibrav = 0, nat = 29, ntyp = 2
/
ATOMIC_SPECIES
Y 88.91 Y.upf
Zn 65.41 Zn.upf
CELL_PARAMETERS angstrom
0.0000 6.3503 6.3503
6.3503 0.0000 6.3503
6.3503 6.3503 0.0000
ATOMIC_POSITIONS angstrom
Y 6.3503 6.3503 2.6428
Y 6.3503 2.6428 6.3503
Y 10.0577 6.3503 6.3503
Y 2.6428 6.3503 6.3503
Y 6.3503 10.0577 6.3503
Y 6.3503 6.3503 10.0577
Zn 3.1751 3.1751 0.0000
Zn 3.1751 0.0000 3.1751
Zn 6.3503 3.1751 3.1751
Zn 7.9110 4.7896 4.7896
Zn 2.1824 2.1824 2.1824
Zn 4.1678 4.1678 2.1824
Zn 4.1678 2.1824 4.1678
Zn 4.7896 4.7896 4.7896
Zn 7.9110 7.9110 4.7896
Zn 7.9110 4.7896 7.9110
Zn 2.1824 4.1678 4.1678
Zn 0.0000 3.1751 3.1751
Zn 3.1751 6.3503 3.1751
Zn 3.1751 3.1751 6.3503
Zn 6.3503 6.3503 6.3503
Zn 10.5181 8.5327 8.5327
Zn 4.7896 7.9110 4.7896
Zn 4.7896 4.7896 7.9110
Zn 7.9110 7.9110 7.9110
Zn 8.5327 10.5181 8.5327
Zn 8.5327 8.5327 10.5181
Zn 10.5181 10.5181 10.5181
Zn 4.7896 7.9110 7.9110

! Gd2Fe17, relaxed, DFT PBE-GGA; values from VASP
! **ΔE_f**: -1 kJ per mole of atoms
! **Space-group type**: R-3m (166)
! **Energy**: -172.24 eV for the cell shown
&SYSTEM
  ibrav = 0, nat = 19, ntyp = 2
/
ATOMIC_SPECIES
Gd 157.25 Gd.upf
Fe 55.84 Fe.upf
CELL_PARAMETERS angstrom
4.2666 2.4633 4.1247
-4.2666 2.4633 4.1247
0.0000 -4.9266 4.1247
ATOMIC_POSITIONS angstrom
Gd 0.0000 0.0000 1.9715
Gd 0.0000 0.0000 10.4026
Fe -2.1333 -1.2317 4.1247
Fe 0.0000 -2.4561 3.9909
Fe -2.1271 1.2281 3.9909
Fe -1.2516 -2.1679 6.1871
Fe -2.5033 0.0000 6.1871
Fe -2.1271 -1.2281 8.3832
Fe 0.0000 0.0000 4.9878
Fe -2.1333 1.2317 8.2494
Fe 1.2516 -2.1679 6.1871
Fe 0.0000 2.4633 4.1247
Fe -1.2516 2.1679 6.1871
Fe 0.0000 0.0000 7.3863
Fe 2.1271 1.2281 3.9909
Fe 2.5033 0.0000 6.1871
Fe 1.2516 2.1679 6.1871
Fe 2.1271 -1.2281 8.3832
Fe 0.0000 2.4561 8.3832

! Na3TaAlSi2PO12, relaxed, DFT PBE-GGA; values from VASP
! **ΔE_f**: -287 kJ per mole of atoms
! **Energy**: -878.96 eV for the cell shown
! **M_tot**: 0.0 μB per formula unit
&SYSTEM
  ibrav = 0, nat = 120, ntyp = 6
/
ATOMIC_SPECIES
Na 22.99 Na.upf
Si 28.09 Si.upf
O 16.00 O.upf
Ta 180.95 Ta.upf
Al 26.98 Al.upf
P 30.97 P.upf
CELL_PARAMETERS angstrom
-3.5429 -7.9680 1.6266
2.7488 1.9841 -8.1973
20.1086 -7.5930 4.4845
ATOMIC_POSITIONS angstrom
Na 2.4246 -0.2579 -2.3770
Na 15.1776 -10.9277 2.1074
Na 3.1886 -8.5343 -2.4107
Na 2.7500 -6.9906 2.1065
Na 12.5250 -12.8917 2.0378
Na 11.5501 -6.2042 0.3267
Na 11.9887 -7.7479 -4.1904
Na 13.7331 -8.6373 3.8873
Na 7.2679 -5.7100 2.1910
Na 3.8691 -2.5483 -4.1569
Na 19.9685 -7.5900 4.4507
Na 1.2165 -4.5123 -4.2265
Na 16.8073 -13.3859 0.1735
Na 18.0401 -8.9456 2.2271
Na 13.9171 -6.3923 -1.9668
Na 7.6818 -7.4395 -2.5302
Na 5.1170 -7.1787 -0.1870
Na 9.1263 -9.7300 -4.3101
Si 19.9082 -7.6937 -3.1376
Si 2.3080 -9.2665 0.4220
Si 12.5825 -11.4036 4.4863
Si 11.1080 -8.4801 -1.3578
Si 14.8651 -7.4980 1.4847
Si 4.4816 -6.1818 -3.4811
Si 10.0741 -2.2378 -3.5577
Si 1.2740 -3.0242 -1.7780
Si 8.8138 -6.3003 -4.9328
Si 0.0137 -7.0866 -3.1530
Si 19.3331 -6.5932 1.1566
Si 10.5329 -7.3796 2.9364
O 18.3006 -7.6182 -2.7051
O 13.4564 -11.2988 0.4144
O 13.8520 -6.1910 1.7610
O 11.6360 -7.0111 -1.8430
O 11.2573 -5.9007 2.6941
O 2.7656 -0.5154 -4.6598
O 8.0227 -7.6970 -4.8130
O 19.6627 -10.3665 -0.4054
O 5.2059 -4.7029 -3.7234
O 4.2433 -1.2230 -0.7721
O 11.1226 -9.4789 -2.6911
O 12.9903 -10.8398 3.0071
O 20.3474 -7.8204 0.8773
O 8.8462 -11.8502 2.8114
O 3.8542 -6.3460 -2.0079
O 7.8007 -4.9932 -4.6565
O 13.6835 -9.6472 -3.6114
O 15.6396 -8.2046 -2.6135
O 5.8655 -2.2972 -2.5379
O 15.0506 -12.3574 -1.2699
O 9.3436 -7.4002 1.7548
O 16.5040 -5.6381 -2.0650
O 3.2923 -6.2024 -4.6627
O 2.8359 -7.7975 -0.0632
O 13.3004 -12.8071 4.7473
O 0.9933 -5.9622 0.6631
O 18.7056 -6.7573 2.6299
O 9.7934 -5.1758 -1.1167
O 9.5005 -8.4046 -0.9253
O 17.1740 -10.6766 3.7264
O 16.0465 -7.4665 2.5876
O 17.7465 -11.7335 -1.3846
O 17.6463 -11.0638 1.0316
O 1.5824 -1.8093 -0.6806
O 12.6543 -5.5596 -3.7876
O 6.3378 -2.6844 -5.2327
O 10.7920 -3.6414 -3.2967
O 3.6893 -5.3382 0.5484
O -1.3652 -5.3836 -0.0771
O 20.4361 -6.2247 -3.6228
O 10.8626 -11.1529 1.3744
O 6.6331 -7.9829 1.7293
O 5.4960 -7.4091 -3.7604
O 7.7038 -6.4245 -0.2852
O 15.4332 -7.1965 -0.0505
O 8.4263 -2.4656 -3.4582
O 17.3695 -9.2957 -0.6051
O 9.9952 -6.2688 -3.8299
O 8.1992 -4.1171 0.5676
O 5.6054 -3.9713 1.5276
O -1.0962 -7.2109 1.4946
O 14.0741 -8.8948 1.6045
O 1.9919 -4.4277 -1.5169
O 2.1479 -2.9194 -5.8499
O 18.1437 -6.6138 -0.0250
O 6.8395 -8.9910 -0.8338
O 0.5817 -6.7852 -4.6882
O 8.5693 -10.0821 1.1747
O -0.3738 -3.2520 -1.6784
O 12.4894 -4.5518 -1.2314
O 1.1951 -7.0552 -2.0501
O 11.9479 -8.9646 -0.0877
O 16.5144 -13.0823 2.5409
O 7.4349 -4.5972 -1.8569
O 1.6818 -2.4604 -3.2572
O 11.5473 -8.6068 2.6571
O 20.7480 -8.1782 -1.8675
O 10.4819 -1.6741 -5.0369
O 6.0609 -0.9163 -6.8694
O -0.9995 -5.7796 -2.8768
O 3.1478 -9.7510 1.6921
O 16.2349 -3.8108 -3.6367
Ta 2.9107 -1.1250 0.6230
Ta 16.9680 -7.5202 -1.3099
Ta 12.1774 -10.8563 -3.6516
Ta 6.9202 -3.6747 -3.4983
Ta 18.2287 -12.0541 2.7659
Ta 8.1679 -8.3066 0.4698
Al 12.3970 -9.7767 1.4743
Al 2.3261 -6.1058 -0.9058
Al 1.0885 -1.3974 -4.7900
Al 6.3457 -8.5790 -4.9432
Al 11.1262 -5.3194 -2.6856
Al 17.1775 -6.5172 3.7319
P 8.3539 -5.0191 -0.6497
P 13.6111 -12.2008 -0.8029
P 18.1661 -10.6402 -0.4109
P -0.4462 -5.8055 1.1301
P 4.1088 -4.2449 1.5220
P 9.3660 -11.4266 1.3688

ΔE_f of number 1 (BaReH9)?
-41 kJ per mole of atoms